Computed, not measured: Na6Nb6Al2Si9S3O48 after structural relaxation at the PBE level of DFT.

raw total energy	-1655.546	eV/cell

Cell lengths 17.741, 8.871, 22.625 Å; angles 90.01, 90.07, 120.02 degrees
Sites, in units of the cell vectors:
O (0.016, 0.837, 0.412)
O (0.681, 0.860, 0.857)
O (0.085, 0.690, 0.756)
O (0.179, 0.509, 0.078)
Nb (0.499, 0.014, 0.638)
O (0.234, 0.309, 0.026)
O (0.657, 0.836, 0.975)
O (0.411, 0.024, 0.087)
Si (0.149, 0.011, 0.248)
O (0.348, 0.532, 0.528)
Si (0.518, 0.676, 0.411)
Na (0.321, 0.013, 0.250)
O (0.984, 0.186, 0.302)
O (0.595, 0.161, 0.089)
O (0.090, 0.208, 0.697)
O (0.065, 0.638, 0.082)
Si (0.194, 0.338, 0.088)
Al (0.332, 0.355, 0.194)
O (0.908, 0.975, 0.407)
Al (0.996, 0.994, 0.855)
O (0.317, 0.485, 0.646)
Al (0.495, 0.000, 0.356)
Si (0.158, 0.955, 0.918)
S (0.647, 0.005, 0.250)
O (0.577, 0.688, 0.755)
O (0.413, 0.518, 0.029)
O (0.585, 0.482, 0.255)
O (0.755, 0.148, 0.644)
O (0.405, 0.842, 0.194)
O (0.904, 0.965, 0.695)
S (0.330, 0.045, 0.085)
Si (0.834, 0.056, 0.089)
Na (0.829, 0.321, 0.826)
O (0.434, 0.365, 0.643)
O (0.485, 0.158, 0.307)
O (0.596, 0.021, 0.593)
Nb (0.829, 0.313, 0.976)
Si (0.477, 0.342, 0.584)
Si (0.497, 0.284, 0.253)
Si (0.168, 0.378, 0.416)
O (0.571, 0.501, 0.860)
O (0.319, 0.126, 0.418)
O (0.511, 0.813, 0.697)
O (0.341, 0.180, 0.742)
Na (0.176, 0.675, 0.664)
O (0.568, 0.644, 0.354)
O (0.419, 0.312, 0.524)
O (0.844, 0.504, 0.241)
Nb (0.000, 0.996, 0.143)
O (0.180, 0.500, 0.358)
O (0.759, 0.640, 0.862)
Na (0.341, 0.336, 0.830)
O (0.488, 0.791, 0.804)
Si (0.019, 0.362, 0.911)
O (0.429, 0.499, 0.149)
O (0.074, 0.972, 0.908)
O (0.923, 0.035, 0.809)
O (0.983, 0.159, 0.593)
O (0.825, 0.159, 0.144)
Nb (0.169, 0.680, 0.814)
O (0.746, 0.362, 0.146)
O (0.270, 0.847, 0.468)
Si (0.649, 0.284, 0.747)
Si (0.695, 0.050, 0.589)
Nb (0.997, 0.991, 0.643)
Si (0.860, 0.005, 0.755)
O (0.844, 0.537, 0.531)
O (0.011, 0.207, 0.196)
O (0.903, 0.826, 0.190)
S (0.145, 0.287, 0.751)
O (0.249, 0.140, 0.927)
O (0.913, 0.796, 0.587)
O (0.182, 0.857, 0.576)
O (0.580, 0.700, 0.470)
O (0.929, 0.365, 0.924)
O (0.426, 0.357, 0.925)
O (0.819, 0.141, 0.421)
O (0.920, 0.313, 0.241)
O (0.758, 0.676, 0.254)
O (0.398, 0.970, 0.409)
S (0.812, 0.671, 0.917)
Si (0.333, 0.610, 0.591)
O (0.749, 0.861, 0.079)
O (0.085, 0.693, 0.476)
O (0.079, 0.191, 0.408)
O (0.419, 0.532, 0.746)
O (0.583, 0.192, 0.692)
O (0.258, 0.838, 0.756)
O (0.742, 0.313, 0.028)
O (0.747, 0.322, 0.741)
O (0.251, 0.641, 0.858)
O (0.412, 0.306, 0.243)
O (0.751, 0.144, 0.921)
Na (0.504, 0.995, 0.998)
O (0.408, 0.841, 0.909)
O (0.093, 0.027, 0.590)
O (0.232, 0.309, 0.746)
O (0.899, 0.827, 0.910)
O (0.822, 0.513, 0.922)
O (0.265, 0.695, 0.973)
O (0.592, 0.976, 0.195)
O (0.657, 0.479, 0.758)
O (0.684, 0.856, 0.577)
O (0.509, 0.847, 0.406)
S (0.312, 0.954, 0.416)
O (0.253, 0.363, 0.144)
O (0.930, 0.361, 0.650)
O (0.349, 0.525, 0.248)
Si (0.357, 0.014, 0.747)
O (0.848, 0.168, 0.027)
S (0.831, 0.615, 0.585)
Nb (0.165, 0.652, 0.015)
O (0.259, 0.870, 0.360)
S (0.995, 0.287, 0.249)
Nb (0.659, 0.670, 0.517)
Nb (0.160, 0.651, 0.529)
O (0.417, 0.032, 0.806)
Si (0.997, 0.712, 0.753)
Si (0.360, 0.715, 0.254)
O (0.342, 0.147, 0.031)
O (0.008, 0.173, 0.907)
O (0.735, 0.160, 0.242)
O (0.263, 0.704, 0.257)
O (0.913, 0.520, 0.744)
O (0.157, 0.478, 0.474)
Na (0.660, 0.670, 0.661)
O (0.066, 0.491, 0.855)
O (0.020, 0.840, 0.694)
O (0.825, 0.524, 0.640)
Nb (0.498, 0.003, 0.144)
O (0.579, 0.967, 0.909)
Al (0.832, 0.310, 0.693)
Na (0.674, 0.673, 0.166)
O (0.608, 0.034, 0.302)
O (0.071, 0.642, 0.360)
O (0.426, 0.494, 0.420)
O (0.574, 0.176, 0.406)
Nb (0.828, 0.314, 0.476)
Si (0.693, 0.335, 0.086)
Si (0.193, 0.051, 0.585)
O (0.755, 0.640, 0.580)
O (0.148, 0.828, 0.975)
Nb (0.662, 0.666, 0.809)
O (0.648, 0.468, 0.473)
O (0.914, 0.308, 0.529)
O (0.484, 0.808, 0.093)
Na (0.840, 0.344, 0.335)
Si (0.857, 0.699, 0.248)
Na (0.496, 0.619, 0.249)
Nb (0.328, 0.341, 0.976)
O (0.083, 0.977, 0.192)
Na (0.505, 0.998, 0.494)
Si (0.658, 0.360, 0.418)
O (0.920, 0.032, 0.093)
O (0.917, 0.801, 0.306)
Na (0.996, 0.372, 0.747)
O (0.157, 0.834, 0.257)
O (0.568, 0.638, 0.080)
O (0.423, 0.814, 0.308)
O (0.926, 0.539, 0.030)
O (0.402, 0.978, 0.691)
Si (0.812, 0.949, 0.416)
O (0.934, 0.516, 0.138)
O (0.323, 0.122, 0.140)
O (0.095, 0.166, 0.093)
O (0.252, 0.866, 0.079)
O (0.926, 0.494, 0.424)
O (0.244, 0.127, 0.647)
Na (0.683, 0.364, 0.244)
O (0.319, 0.495, 0.920)
S (0.976, 0.616, 0.085)
O (0.735, 0.164, 0.527)
Nb (0.003, 0.985, 0.357)
O (0.420, 0.804, 0.594)
O (0.576, 0.509, 0.578)
Na (0.167, 0.655, 0.166)
O (0.516, 0.194, 0.912)
Nb (0.669, 0.657, 0.315)
O (0.766, 0.832, 0.474)
Nb (0.335, 0.347, 0.480)
Si (0.524, 0.386, 0.919)
O (0.178, 0.867, 0.859)
O (0.150, 0.461, 0.754)
O (0.986, 0.795, 0.088)
O (0.764, 0.822, 0.759)
O (0.068, 0.498, 0.581)
Nb (0.165, 0.661, 0.311)
O (0.601, 0.166, 0.807)
O (0.237, 0.171, 0.527)
O (0.083, 0.464, 0.971)
O (0.985, 0.812, 0.808)
O (0.849, 0.174, 0.748)
Na (0.185, 0.006, 0.741)
S (0.494, 0.706, 0.750)
O (0.682, 0.507, 0.077)
O (0.585, 0.477, 0.976)
O (0.653, 0.843, 0.252)
Si (0.664, 0.947, 0.916)
Si (0.968, 0.328, 0.590)
Nb (0.660, 0.667, 0.029)
O (0.770, 0.693, 0.969)
Si (0.468, 0.608, 0.090)
Nb (0.503, 0.020, 0.856)
Si (0.313, 0.672, 0.914)
O (0.749, 0.356, 0.425)
O (0.077, 0.465, 0.252)
O (0.104, 0.179, 0.804)
O (0.487, 0.165, 0.585)
O (0.519, 0.199, 0.193)
O (0.100, 0.035, 0.306)
O (0.252, 0.352, 0.420)
Na (0.820, 0.630, 0.748)
Na (0.329, 0.341, 0.332)
Si (0.023, 0.659, 0.419)
Al (0.336, 0.320, 0.678)
Na (0.005, 0.017, 0.991)
O (0.249, 0.639, 0.579)
O (0.679, 0.487, 0.358)
O (0.246, 0.171, 0.240)
Al (0.830, 0.341, 0.182)
Na (0.004, 0.013, 0.499)
O (0.751, 0.860, 0.358)

Computed, not measured: Na10Nb4Al4Si9S3O48 after structural relaxation at the PBE level of DFT.

raw total energy	-1657.009	eV/cell

Cell lengths 17.730, 8.855, 22.138 Å; angles 89.98, 90.72, 119.75 degrees
Sites, in units of the cell vectors:
O (0.081, 0.472, 0.256)
O (0.516, 0.832, 0.693)
Si (0.320, 0.603, 0.586)
O (0.245, 0.652, 0.575)
O (0.015, 0.831, 0.693)
O (0.906, 0.982, 0.693)
O (0.075, 0.650, 0.361)
O (0.937, 0.361, 0.638)
Nb (0.495, 0.001, 0.145)
O (0.750, 0.151, 0.920)
O (0.737, 0.298, 0.028)
O (0.821, 0.511, 0.919)
Na (0.006, 0.019, 0.991)
O (0.095, 0.163, 0.090)
O (0.747, 0.846, 0.075)
O (0.398, 0.969, 0.413)
O (0.181, 0.509, 0.076)
O (0.435, 0.373, 0.641)
Al (0.165, 0.662, 0.519)
O (0.100, 0.021, 0.304)
Na (0.021, 0.704, 0.576)
Si (0.655, 0.367, 0.419)
Na (0.506, 0.019, 0.991)
O (0.271, 0.853, 0.473)
O (0.852, 0.539, 0.524)
Nb (0.995, 0.987, 0.646)
O (0.507, 0.840, 0.410)
Al (0.835, 0.333, 0.687)
Na (0.020, 0.344, 0.080)
S (0.978, 0.335, 0.584)
S (0.145, 0.000, 0.252)
Na (0.853, 0.674, 0.410)
O (0.489, 0.160, 0.309)
Si (0.158, 0.365, 0.420)
S (0.144, 0.287, 0.752)
O (0.594, 0.215, 0.694)
O (0.319, 0.130, 0.419)
O (0.597, 0.028, 0.590)
S (0.311, 0.955, 0.417)
O (0.065, 0.493, 0.580)
O (0.991, 0.817, 0.090)
O (0.415, 0.291, 0.525)
O (0.770, 0.688, 0.973)
Si (0.693, 0.340, 0.086)
O (0.817, 0.488, 0.640)
O (0.237, 0.298, 0.028)
O (0.153, 0.463, 0.757)
Na (0.687, 0.366, 0.243)
Si (0.662, 0.957, 0.919)
O (0.917, 0.546, 0.022)
Na (0.487, 0.670, 0.915)
Na (0.520, 0.344, 0.080)
O (0.176, 0.848, 0.577)
Nb (0.829, 0.340, 0.476)
O (0.742, 0.174, 0.529)
O (0.399, 0.823, 0.914)
O (0.250, 0.151, 0.920)
Nb (0.833, 0.322, 0.978)
O (0.575, 0.503, 0.861)
O (0.488, 0.808, 0.813)
O (0.904, 0.829, 0.193)
Na (0.674, 0.674, 0.660)
O (0.898, 0.971, 0.413)
O (0.252, 0.132, 0.645)
O (0.403, 0.979, 0.691)
O (0.925, 0.306, 0.529)
Si (0.526, 0.368, 0.919)
O (0.899, 0.824, 0.914)
O (0.986, 0.803, 0.812)
Nb (0.995, 0.001, 0.145)
Si (0.988, 0.274, 0.253)
O (0.681, 0.509, 0.076)
Nb (0.163, 0.676, 0.811)
O (0.761, 0.830, 0.757)
O (0.575, 0.651, 0.361)
Si (0.326, 0.041, 0.087)
O (0.650, 0.834, 0.977)
O (0.575, 0.176, 0.408)
O (0.404, 0.829, 0.193)
S (0.311, 0.671, 0.918)
O (0.259, 0.692, 0.257)
O (0.313, 0.488, 0.643)
O (0.921, 0.032, 0.810)
O (0.230, 0.158, 0.247)
Si (0.193, 0.340, 0.086)
O (0.760, 0.693, 0.257)
O (0.928, 0.496, 0.423)
S (0.811, 0.671, 0.918)
Na (0.840, 0.330, 0.828)
Na (0.328, 0.970, 0.584)
Nb (0.660, 0.650, 0.311)
O (0.012, 0.178, 0.909)
O (0.090, 0.210, 0.696)
S (0.645, 0.000, 0.252)
O (0.354, 0.170, 0.026)
Na (0.987, 0.670, 0.915)
O (0.581, 0.472, 0.257)
O (0.236, 0.167, 0.526)
O (0.016, 0.203, 0.191)
O (0.491, 0.817, 0.090)
Na (0.668, 0.673, 0.163)
Al (0.658, 0.661, 0.022)
Si (0.826, 0.041, 0.087)
O (0.683, 0.496, 0.359)
Na (0.340, 0.332, 0.827)
O (0.427, 0.499, 0.421)
O (0.075, 0.176, 0.408)
Al (0.343, 0.338, 0.685)
O (0.582, 0.690, 0.756)
O (0.150, 0.834, 0.977)
O (0.653, 0.470, 0.478)
S (0.811, 0.953, 0.418)
Si (0.859, 0.011, 0.754)
O (0.749, 0.357, 0.422)
O (0.491, 0.163, 0.589)
O (0.430, 0.368, 0.921)
O (0.656, 0.466, 0.757)
O (0.769, 0.844, 0.471)
O (0.406, 0.512, 0.745)
Al (0.000, 0.006, 0.853)
O (0.339, 0.168, 0.745)
O (0.413, 0.802, 0.590)
Na (0.173, 0.657, 0.663)
O (0.076, 0.646, 0.078)
O (0.576, 0.505, 0.578)
O (0.822, 0.132, 0.423)
Si (0.988, 0.700, 0.754)
O (0.247, 0.846, 0.074)
O (0.229, 0.301, 0.747)
O (0.678, 0.847, 0.577)
Nb (0.662, 0.676, 0.811)
Al (0.343, 0.350, 0.185)
Si (0.190, 0.045, 0.586)
Si (0.358, 0.706, 0.255)
O (0.270, 0.689, 0.974)
O (0.074, 0.503, 0.861)
O (0.854, 0.170, 0.026)
O (0.930, 0.369, 0.921)
O (0.810, 0.136, 0.142)
O (0.580, 0.464, 0.980)
O (0.252, 0.371, 0.146)
Al (0.500, 0.005, 0.854)
O (0.261, 0.828, 0.757)
O (0.349, 0.537, 0.524)
O (0.574, 0.967, 0.910)
Na (0.685, 0.005, 0.743)
Si (0.695, 0.041, 0.587)
Si (0.479, 0.620, 0.083)
Si (0.488, 0.274, 0.253)
O (0.906, 0.299, 0.243)
O (0.918, 0.809, 0.589)
O (0.257, 0.648, 0.864)
O (0.074, 0.967, 0.909)
Nb (0.493, 0.984, 0.643)
O (0.257, 0.869, 0.363)
O (0.250, 0.357, 0.422)
Nb (0.333, 0.322, 0.978)
O (0.181, 0.492, 0.358)
Na (0.344, 0.336, 0.328)
O (0.840, 0.171, 0.744)
O (0.417, 0.546, 0.022)
Al (0.001, 0.001, 0.354)
O (0.102, 0.176, 0.805)
Na (0.519, 0.693, 0.580)
Na (0.845, 0.335, 0.326)
Si (0.025, 0.368, 0.919)
Na (0.329, 0.690, 0.082)
Na (0.187, 0.366, 0.244)
O (0.601, 0.022, 0.304)
O (0.310, 0.136, 0.142)
O (0.180, 0.869, 0.858)
O (0.080, 0.464, 0.980)
O (0.988, 0.159, 0.309)
O (0.916, 0.025, 0.090)
S (0.645, 0.289, 0.751)
Si (0.162, 0.957, 0.919)
O (0.908, 0.510, 0.741)
O (0.006, 0.838, 0.411)
O (0.153, 0.478, 0.475)
Si (0.026, 0.679, 0.421)
Nb (0.333, 0.337, 0.479)
O (0.093, 0.972, 0.194)
Nb (0.160, 0.646, 0.311)
Na (0.012, 0.022, 0.493)
O (0.576, 0.646, 0.078)
Si (0.979, 0.620, 0.083)
O (0.744, 0.637, 0.575)
O (0.434, 0.494, 0.139)
O (0.092, 0.025, 0.590)
O (0.916, 0.805, 0.313)
O (0.582, 0.698, 0.480)
O (0.655, 0.844, 0.256)
O (0.516, 0.203, 0.192)
O (0.934, 0.494, 0.139)
Na (0.829, 0.691, 0.082)
Na (0.168, 0.673, 0.163)
O (0.082, 0.696, 0.481)
Si (0.858, 0.707, 0.255)
O (0.416, 0.804, 0.313)
Al (0.501, 0.999, 0.354)
O (0.340, 0.509, 0.245)
O (0.990, 0.180, 0.589)
O (0.512, 0.177, 0.909)
O (0.680, 0.870, 0.858)
Si (0.525, 0.678, 0.420)
O (0.840, 0.509, 0.246)
O (0.421, 0.030, 0.809)
Al (0.158, 0.661, 0.022)
Na (0.651, 0.964, 0.080)
Na (0.188, 0.008, 0.743)
Na (0.352, 0.666, 0.410)
O (0.730, 0.158, 0.248)
Al (0.843, 0.350, 0.184)
O (0.416, 0.025, 0.090)
Si (0.827, 0.616, 0.586)
O (0.406, 0.299, 0.243)
O (0.595, 0.163, 0.090)
O (0.603, 0.177, 0.804)
Al (0.660, 0.658, 0.524)
O (0.752, 0.371, 0.146)
O (0.750, 0.139, 0.647)
Si (0.359, 0.011, 0.754)
O (0.593, 0.972, 0.194)
Na (0.510, 0.012, 0.492)
O (0.732, 0.304, 0.747)
O (0.082, 0.690, 0.755)
O (0.321, 0.511, 0.919)
O (0.758, 0.648, 0.863)
Si (0.480, 0.338, 0.585)
O (0.758, 0.878, 0.362)
O (0.155, 0.844, 0.256)
Na (0.151, 0.964, 0.080)
Si (0.488, 0.701, 0.754)
Na (0.650, 0.337, 0.580)

The lowest raw total energy belongs to which entry? Na10Nb4Al4Si9S3O48

Among the records above, which one has the lowest raw total energy? Na10Nb4Al4Si9S3O48